(1)
The following is a DFT calculation (GGA-PBE) of a relaxed Cs3Sb crystal.

Unit cell a=6.612 b=6.612 c=6.612 alpha=60.00 beta=60.00 gamma=60.00
Fractional coordinates of all 4 atoms:
Cs: 0.000 0.000 0.000
Cs: 0.250 0.250 0.250
Cs: 0.750 0.750 0.750
Sb: 0.500 0.500 0.500

Space-group type   No. 225

---

(2)
The following is a DFT calculation (GGA-PBE) of a relaxed NpCd crystal.

Unit cell a=5.832 b=2.848 c=2.848 alpha=60.22 beta=90.00 gamma=90.00
Fractional coordinates of all 2 atoms:
Np: 0.000 0.000 0.000
Cd: 0.500 0.667 0.667

Space-group type   No. 38

---

(3)
The following is a DFT calculation (GGA-PBE) of a relaxed ErAlGa crystal.

Unit cell a=4.462 b=4.462 c=3.496 alpha=90.00 beta=90.00 gamma=120.00
Fractional coordinates of all 3 atoms:
Er: 0.000 0.000 0.000
Al: 0.333 0.667 0.500
Ga: 0.667 0.333 0.500

Space-group type   No. 187

---

| no. | energy of formation (eV per atom) |
| --- | --- |
| 1 | -0.353 |
| 2 | 0.224 |
| 3 | -0.551 |